1.
{"formula": "CsTbW2O8", "functional": "PBE+U", "state": "relaxed", "lattice_angstrom": [[5.388, 5.504, 0.000], [-5.388, 5.504, 0.000], [0.000, 4.872, 5.803]], "species": ["O", "Cs", "O", "W", "O", "W", "O", "W", "O", "Cs", "O", "O", "O", "O", "O", "O", "O", "O", "O", "O", "Tb", "O", "Tb", "W"], "frac_coords": [[0.628, 0.409, 0.535], [0.803, 0.197, 0.250], [0.621, 0.747, 0.566], [0.314, 0.302, 0.716], [0.222, 0.052, 0.298], [0.686, 0.698, 0.284], [0.253, 0.379, 0.934], [0.698, 0.686, 0.784], [0.052, 0.222, 0.798], [0.197, 0.803, 0.750], [0.371, 0.062, 0.874], [0.629, 0.938, 0.126], [0.778, 0.948, 0.702], [0.591, 0.372, 0.965], [0.379, 0.253, 0.434], [0.062, 0.371, 0.374], [0.948, 0.778, 0.202], [0.747, 0.621, 0.066], [0.372, 0.591, 0.465], [0.938, 0.629, 0.626], [0.777, 0.223, 0.750], [0.409, 0.628, 0.035], [0.223, 0.777, 0.250], [0.302, 0.314, 0.216]], "total_magnetization_mub_per_cell": 0.00}



2.
{"formula": "LiFe4B4O12", "functional": "PBE+U", "state": "relaxed", "lattice_angstrom": [[5.239, 0.000, 0.000], [0.194, 9.192, 0.000], [0.060, 0.140, 10.126]], "species": ["Fe", "O", "Fe", "Fe", "O", "B", "O", "O", "B", "O", "Fe", "O", "O", "O", "O", "O", "O", "O", "O", "Li", "O", "O", "Li", "B", "B", "Fe", "B", "O", "O", "B", "Fe", "O", "B", "O", "B", "O", "O", "O", "O", "Fe", "O", "Fe"], "frac_coords": [[0.184, 0.506, 0.131], [0.755, 0.363, 0.429], [0.833, 0.501, 0.878], [0.670, 0.337, 0.626], [0.084, 0.175, 0.888], [0.657, 0.998, 0.627], [0.806, 0.199, 0.175], [0.675, 0.066, 0.933], [0.161, 0.500, 0.628], [0.095, 0.505, 0.338], [0.823, 0.160, 0.383], [0.908, 0.490, 0.674], [0.311, 0.960, 0.094], [0.241, 0.632, 0.575], [0.679, 0.613, 0.375], [0.825, 0.433, 0.071], [0.820, 0.884, 0.632], [0.192, 0.540, 0.914], [0.745, 0.134, 0.578], [0.186, 0.167, 0.161], [0.593, 0.650, 0.873], [0.173, 0.112, 0.357], [0.333, 0.327, 0.900], [0.169, 0.838, 0.135], [0.826, 0.177, 0.884], [0.331, 0.663, 0.376], [0.675, 0.323, 0.120], [0.414, 0.325, 0.111], [0.208, 0.786, 0.827], [0.334, 0.661, 0.871], [0.310, 0.996, 0.874], [0.257, 0.865, 0.431], [0.337, 0.996, 0.376], [0.322, 0.383, 0.640], [0.842, 0.498, 0.379], [0.589, 0.008, 0.331], [0.293, 0.713, 0.179], [0.690, 0.302, 0.832], [0.910, 0.849, 0.132], [0.671, 0.999, 0.123], [0.404, 0.992, 0.666], [0.168, 0.833, 0.631]], "de_polymorph_mev_per_atom": 5.9, "total_magnetization_mub_per_cell": 38.00}



3.
{"formula": "Cs2Co2Mo3O12", "functional": "PBE+U", "state": "relaxed", "lattice_angstrom": [[11.021, 0.000, 0.000], [0.000, 11.021, 0.000], [0.000, 0.000, 11.021]], "species": ["O", "Mo", "O", "O", "O", "O", "O", "O", "O", "O", "Co", "Co", "O", "O", "Mo", "O", "O", "O", "O", "Mo", "O", "Mo", "O", "O", "O", "Mo", "O", "O", "Co", "O", "O", "O", "O", "O", "O", "Co", "Mo", "Mo", "Cs", "Mo", "O", "O", "Co", "O", "O", "Co", "Cs", "O", "O", "Co", "O", "Cs", "O", "O", "Mo", "O", "O", "O", "O", "Mo", "O", "Cs", "Mo", "O", "Cs", "O", "Cs", "O", "Cs", "O", "O", "O", "Cs", "O", "Mo", "Co"], "frac_coords": [[0.898, 0.681, 0.745], [0.876, 0.526, 0.699], [0.275, 0.516, 0.054], [0.042, 0.670, 0.484], [0.554, 0.225, 0.484], [0.458, 0.330, 0.984], [0.745, 0.898, 0.681], [0.755, 0.102, 0.181], [0.451, 0.788, 0.762], [0.330, 0.984, 0.458], [0.888, 0.612, 0.388], [0.112, 0.112, 0.112], [0.049, 0.212, 0.262], [0.016, 0.958, 0.170], [0.624, 0.474, 0.199], [0.446, 0.725, 0.016], [0.516, 0.054, 0.275], [0.054, 0.275, 0.516], [0.319, 0.245, 0.602], [0.474, 0.199, 0.624], [0.670, 0.484, 0.042], [0.301, 0.376, 0.974], [0.245, 0.602, 0.319], [0.102, 0.181, 0.755], [0.681, 0.745, 0.898], [0.974, 0.301, 0.376], [0.819, 0.255, 0.398], [0.398, 0.819, 0.255], [0.337, 0.663, 0.163], [0.788, 0.762, 0.451], [0.738, 0.549, 0.288], [0.712, 0.238, 0.951], [0.549, 0.288, 0.738], [0.725, 0.016, 0.446], [0.516, 0.542, 0.830], [0.163, 0.337, 0.663], [0.026, 0.801, 0.124], [0.526, 0.699, 0.876], [0.821, 0.179, 0.679], [0.124, 0.026, 0.801], [0.225, 0.484, 0.554], [0.255, 0.398, 0.819], [0.663, 0.163, 0.337], [0.484, 0.554, 0.225], [0.484, 0.042, 0.670], [0.837, 0.837, 0.837], [0.321, 0.321, 0.321], [0.238, 0.951, 0.712], [0.181, 0.755, 0.102], [0.388, 0.888, 0.612], [0.542, 0.830, 0.516], [0.179, 0.679, 0.821], [0.288, 0.738, 0.549], [0.170, 0.016, 0.958], [0.801, 0.124, 0.026], [0.016, 0.446, 0.725], [0.602, 0.319, 0.245], [0.775, 0.984, 0.946], [0.951, 0.712, 0.238], [0.699, 0.876, 0.526], [0.984, 0.458, 0.330], [0.679, 0.821, 0.179], [0.199, 0.624, 0.474], [0.762, 0.451, 0.788], [0.542, 0.542, 0.542], [0.830, 0.516, 0.542], [0.958, 0.458, 0.042], [0.212, 0.262, 0.049], [0.042, 0.958, 0.458], [0.958, 0.170, 0.016], [0.984, 0.946, 0.775], [0.946, 0.775, 0.984], [0.458, 0.042, 0.958], [0.262, 0.049, 0.212], [0.376, 0.974, 0.301], [0.612, 0.388, 0.888]], "total_magnetization_mub_per_cell": 24.00}



4.
{"formula": "Sr3NiPbO6", "functional": "PBE+U", "state": "relaxed", "lattice_angstrom": [[-0.208, 6.829, 6.634], [-6.625, -6.829, 0.403], [6.833, -0.001, 6.634]], "species": ["Sr", "Sr", "Sr", "Sr", "O", "O", "Ni", "O", "Sr", "Pb", "O", "Sr", "O", "O", "O", "O", "Pb", "O", "O", "Ni", "O", "Sr", "Pb", "O", "Ni", "O", "O", "O", "O", "Sr", "O", "Sr", "O", "Ni", "Sr", "O", "O", "Pb", "Sr", "O", "O", "O", "O", "Sr"], "frac_coords": [[0.496, 0.246, 0.125], [0.004, 0.254, 0.375], [0.375, 0.996, 0.746], [0.746, 0.625, 0.004], [0.328, 0.869, 0.465], [0.828, 0.369, 0.965], [0.750, 0.250, 0.750], [0.465, 0.672, 0.131], [0.996, 0.746, 0.625], [0.125, 0.875, 0.125], [0.672, 0.131, 0.535], [0.875, 0.496, 0.246], [0.035, 0.828, 0.369], [0.785, 0.881, 0.922], [0.285, 0.381, 0.422], [0.922, 0.215, 0.119], [0.375, 0.625, 0.375], [0.869, 0.465, 0.672], [0.965, 0.172, 0.631], [0.500, 0.500, 0.500], [0.715, 0.619, 0.578], [0.246, 0.125, 0.504], [0.875, 0.125, 0.875], [0.578, 0.285, 0.381], [0.250, 0.750, 0.250], [0.369, 0.965, 0.172], [0.078, 0.785, 0.881], [0.172, 0.631, 0.035], [0.422, 0.715, 0.619], [0.504, 0.754, 0.875], [0.131, 0.535, 0.328], [0.625, 0.004, 0.254], [0.619, 0.578, 0.285], [0.000, 0.000, 0.000], [0.125, 0.504, 0.754], [0.381, 0.422, 0.715], [0.535, 0.328, 0.869], [0.625, 0.375, 0.625], [0.254, 0.375, 0.996], [0.215, 0.119, 0.078], [0.631, 0.035, 0.828], [0.881, 0.922, 0.215], [0.119, 0.078, 0.785], [0.754, 0.875, 0.496]], "total_magnetization_mub_per_cell": 0.00}



5.
{"formula": "SrCa7Mn6Al2O20", "functional": "PBE+U", "state": "relaxed", "lattice_angstrom": [[10.954, -0.019, -0.017], [-0.024, 15.478, 0.038], [-0.014, 0.029, 10.912]], "species": ["Mn", "O", "Mn", "O", "O", "O", "O", "O", "Mn", "Ca", "O", "Ca", "O", "Mn", "O", "Ca", "O", "Sr", "O", "O", "O", "O", "O", "Ca", "Mn", "O", "O", "Ca", "O", "O", "Al", "O", "Ca", "Ca", "O", "O", "O", "O", "O", "O", "O", "O", "O", "O", "O", "O", "Ca", "Mn", "Sr", "Al", "Mn", "O", "Mn", "O", "O", "Mn", "Mn", "Mn", "O", "Al", "Al", "Ca", "Mn", "O", "O", "O", "O", "O", "Mn", "O", "O", "Ca", "O", "Mn", "O", "O", "O", "Mn", "Ca", "O", "O", "O", "O", "Sr", "O", "O", "Ca", "O", "O", "Mn", "Ca", "O", "O", "Mn", "O", "O", "Ca", "O", "Al", "O", "O", "O", "Ca", "Ca", "Mn", "O", "Sr", "Ca", "Ca", "Al", "Ca", "Al", "Ca", "O", "O", "O", "O", "Mn", "O", "Ca", "O", "O", "O", "O", "Ca", "Mn", "Ca", "Ca", "Ca", "Al", "O", "Mn", "Ca", "Mn", "O", "Mn", "O", "O", "Mn", "O", "O", "Ca", "Ca", "O"], "frac_coords": [[0.749, 0.253, 0.498], [0.636, 0.239, 0.848], [0.999, 0.488, 0.251], [0.954, 0.141, 0.242], [0.904, 0.250, 0.604], [0.598, 0.991, 0.108], [0.134, 0.233, 0.378], [0.862, 0.499, 0.147], [0.760, 0.748, 0.508], [0.010, 0.607, 0.987], [0.108, 0.491, 0.607], [0.996, 0.610, 0.519], [0.755, 0.622, 0.545], [0.755, 0.243, 0.978], [0.405, 0.231, 0.382], [0.776, 0.621, 0.759], [0.486, 0.378, 0.785], [0.253, 0.384, 0.257], [0.533, 0.208, 0.138], [0.614, 0.489, 0.105], [0.364, 0.491, 0.120], [0.176, 0.742, 0.814], [0.614, 0.773, 0.107], [0.495, 0.872, 0.498], [0.765, 0.749, 0.004], [0.221, 0.628, 0.045], [0.253, 0.372, 0.984], [0.500, 0.872, 0.986], [0.635, 0.518, 0.853], [0.355, 0.489, 0.642], [0.041, 0.240, 0.243], [0.565, 0.038, 0.355], [0.245, 0.386, 0.745], [0.975, 0.383, 0.005], [0.777, 0.373, 0.463], [0.355, 0.003, 0.165], [0.920, 0.243, 0.939], [0.108, 0.998, 0.104], [0.676, 0.244, 0.334], [0.849, 0.998, 0.652], [0.995, 0.626, 0.734], [0.142, 0.512, 0.347], [0.471, 0.628, 0.712], [0.099, 0.483, 0.107], [0.414, 0.727, 0.398], [0.477, 0.868, 0.773], [0.740, 0.863, 0.243], [0.511, 0.745, 0.759], [0.273, 0.126, 0.265], [0.272, 0.244, 0.489], [0.489, 0.251, 0.749], [0.500, 0.374, 0.267], [0.249, 0.760, 0.457], [0.259, 0.860, 0.007], [0.274, 0.889, 0.461], [0.000, 0.761, 0.272], [0.991, 0.253, 0.766], [0.260, 0.738, 0.979], [0.142, 0.214, 0.852], [0.525, 0.261, 0.279], [0.484, 0.989, 0.748], [0.712, 0.110, 0.731], [0.995, 0.009, 0.250], [0.025, 0.872, 0.801], [0.497, 0.871, 0.281], [0.596, 0.268, 0.608], [0.745, 0.128, 0.510], [0.898, 0.515, 0.390], [0.726, 0.002, 0.501], [0.093, 0.989, 0.599], [0.758, 0.120, 0.009], [0.746, 0.392, 0.252], [0.266, 0.121, 0.515], [0.517, 0.747, 0.257], [0.870, 0.759, 0.157], [0.379, 0.222, 0.913], [0.924, 0.736, 0.425], [0.006, 0.497, 0.754], [0.279, 0.121, 0.752], [0.003, 0.890, 0.293], [0.758, 0.882, 0.457], [0.603, 0.768, 0.608], [0.586, 0.987, 0.615], [0.000, 0.122, 0.495], [0.139, 0.029, 0.869], [0.846, 0.987, 0.155], [0.020, 0.123, 0.005], [0.753, 0.628, 0.030], [0.669, 0.737, 0.857], [0.000, 0.995, 0.755], [0.989, 0.384, 0.514], [0.134, 0.025, 0.361], [0.639, 0.001, 0.855], [0.746, 0.995, 0.000], [0.030, 0.377, 0.778], [0.922, 0.735, 0.927], [0.470, 0.386, 0.509], [0.422, 0.729, 0.917], [0.500, 0.979, 0.232], [0.342, 0.258, 0.646], [0.492, 0.630, 0.208], [0.342, 0.989, 0.650], [0.502, 0.125, 0.518], [0.221, 0.898, 0.253], [0.004, 0.752, 0.766], [0.670, 0.729, 0.361], [0.498, 0.362, 0.013], [0.534, 0.622, 0.495], [0.712, 0.385, 0.743], [0.235, 0.259, 0.969], [0.278, 0.617, 0.258], [0.233, 0.999, 0.521], [0.760, 0.619, 0.247], [0.612, 0.477, 0.598], [0.782, 0.877, 0.963], [0.386, 0.515, 0.391], [0.173, 0.749, 0.282], [0.753, 0.496, 0.500], [0.389, 0.007, 0.895], [0.246, 0.617, 0.726], [0.247, 0.361, 0.485], [0.179, 0.516, 0.863], [0.860, 0.477, 0.643], [0.973, 0.341, 0.233], [0.521, 0.115, 0.973], [0.503, 0.504, 0.243], [0.962, 0.880, 0.517], [0.242, 0.889, 0.780], [0.543, 0.626, 0.003], [0.234, 0.496, 0.016], [0.642, 0.517, 0.351], [0.246, 0.503, 0.497], [0.985, 0.870, 0.013], [0.499, 0.505, 0.740], [0.205, 0.652, 0.524], [0.251, 0.996, 0.005], [0.866, 0.779, 0.652], [0.750, 0.363, 0.004], [0.749, 0.499, 0.000], [0.896, 0.504, 0.893], [0.496, 0.124, 0.732], [0.725, 0.874, 0.746], [0.720, 0.115, 0.227], [0.158, 0.224, 0.114]], "de_polymorph_mev_per_atom": 27.4, "total_magnetization_mub_per_cell": 96.00}



6.
{"formula": "ZrMo2Se8Cl14O2", "functional": "PBE+U", "state": "relaxed", "lattice_angstrom": [[7.404, 0.000, 0.000], [0.000, 13.911, 0.000], [0.000, 3.875, 15.212]], "species": ["Se", "Cl", "Se", "Cl", "Cl", "Cl", "Cl", "Cl", "Se", "Se", "Se", "Cl", "Cl", "Cl", "Se", "Se", "Se", "Cl", "Cl", "Cl", "Cl", "Se", "Se", "Cl", "Zr", "Cl", "Cl", "O", "Mo", "O", "Se", "Se", "Cl", "Se", "O", "Cl", "O", "Se", "Mo", "Mo", "Cl", "Cl", "Cl", "Cl", "Cl", "Cl", "Cl", "Se", "Mo", "Cl", "Se", "Zr", "Cl", "Cl"], "frac_coords": [[0.132, 0.183, 0.190], [0.028, 0.709, 0.378], [0.368, 0.183, 0.690], [0.776, 0.620, 0.068], [0.621, 0.024, 0.643], [0.386, 0.830, 0.579], [0.340, 0.532, 0.060], [0.114, 0.830, 0.079], [0.007, 0.259, 0.365], [0.993, 0.741, 0.635], [0.747, 0.709, 0.731], [0.160, 0.532, 0.560], [0.788, 0.927, 0.470], [0.614, 0.170, 0.421], [0.753, 0.709, 0.231], [0.632, 0.817, 0.310], [0.616, 0.154, 0.785], [0.472, 0.709, 0.878], [0.660, 0.468, 0.940], [0.276, 0.380, 0.432], [0.212, 0.073, 0.530], [0.384, 0.846, 0.215], [0.253, 0.291, 0.269], [0.889, 0.453, 0.741], [0.500, 0.000, 0.500], [0.379, 0.976, 0.357], [0.611, 0.453, 0.241], [0.597, 0.398, 0.611], [0.192, 0.554, 0.402], [0.903, 0.398, 0.111], [0.884, 0.154, 0.285], [0.507, 0.741, 0.135], [0.528, 0.291, 0.122], [0.493, 0.259, 0.865], [0.097, 0.602, 0.889], [0.389, 0.547, 0.759], [0.403, 0.602, 0.389], [0.868, 0.817, 0.810], [0.308, 0.554, 0.902], [0.692, 0.446, 0.098], [0.121, 0.976, 0.857], [0.712, 0.927, 0.970], [0.840, 0.468, 0.440], [0.224, 0.380, 0.932], [0.972, 0.291, 0.622], [0.886, 0.170, 0.921], [0.724, 0.620, 0.568], [0.247, 0.291, 0.769], [0.808, 0.446, 0.598], [0.879, 0.024, 0.143], [0.116, 0.846, 0.715], [0.000, 0.000, 0.000], [0.111, 0.547, 0.259], [0.288, 0.073, 0.030]], "total_magnetization_mub_per_cell": 4.16}



7.
{"formula": "Zn4CoO5", "functional": "PBE+U", "state": "relaxed", "lattice_angstrom": [[1.648, -2.854, 0.000], [1.648, 2.854, 0.000], [0.000, 0.000, 26.415]], "species": ["Zn", "O", "Zn", "O", "O", "Zn", "O", "Zn", "O", "Zn", "O", "O", "Zn", "Co", "Zn", "Zn", "O", "O", "O", "Co"], "frac_coords": [[0.000, 0.000, 0.199], [0.000, 0.000, 0.122], [0.000, 0.000, 0.599], [0.667, 0.333, 0.222], [0.667, 0.333, 0.022], [0.667, 0.333, 0.699], [0.000, 0.000, 0.923], [0.667, 0.333, 0.299], [0.667, 0.333, 0.823], [0.667, 0.333, 0.899], [0.667, 0.333, 0.623], [0.000, 0.000, 0.523], [0.000, 0.000, 0.399], [0.000, 0.000, 0.799], [0.667, 0.333, 0.099], [0.667, 0.333, 0.499], [0.667, 0.333, 0.423], [0.000, 0.000, 0.723], [0.000, 0.000, 0.322], [0.000, 0.000, 0.999]]}



| no. | E (eV per atom) |
| --- | --- |
| 1 | -7.3690 |
| 2 | -7.2096 |
| 3 | -6.4758 |
| 4 | -5.7604 |
| 5 | -6.9743 |
| 6 | -3.9926 |
| 7 | -4.8641 |